KGdGeS4: relaxed, PBE.

Structure (CIF):
```
data_KGdGeS4
_space_group_name_H-M_alt 'P 1'
_space_group_IT_number 1
_cell_length_a 6.571
_cell_length_b 6.735
_cell_length_c 8.719
_cell_angle_alpha 90.00
_cell_angle_beta 106.99
_cell_angle_gamma 90.00
loop_
_space_group_symop_operation_xyz
'x,y,z'
loop_
_atom_site_label
_atom_site_type_symbol
_atom_site_fract_x
_atom_site_fract_y
_atom_site_fract_z
K1 K 0.232 0.000 0.434
K2 K 0.768 0.500 0.566
Gd1 Gd 0.271 0.016 0.949
Gd2 Gd 0.729 0.516 0.051
Ge1 Ge 0.275 0.484 0.178
Ge2 Ge 0.725 0.984 0.822
S1 S 0.068 0.481 0.336
S2 S 0.072 0.423 0.929
S3 S 0.478 0.744 0.780
S4 S 0.483 0.752 0.205
S5 S 0.517 0.252 0.795
S6 S 0.522 0.244 0.220
S7 S 0.928 0.923 0.071
S8 S 0.932 0.981 0.664
```

Results
Its energy of formation from the pure elements is -1.543 eV per atom. Its crystal system is monoclinic. The total magnetization is 7.00 μB per formula unit.